Record 1
Here is an optimized crystal structure of Li24Ti11CrO36 from Materials Project. Energies are from GGA+U. Values from VASP.

Quantum ESPRESSO input file:
```
&SYSTEM
  ibrav = 0, nat = 72, ntyp = 4
/
ATOMIC_SPECIES
Li 6.94 Li.upf
Ti 47.87 Ti.upf
Cr 52.00 Cr.upf
O 16.00 O.upf
ATOMIC_POSITIONS angstrom
Li 7.6759 -4.4085 0.0000
Li -3.3746 0.0000 4.8512
Li 5.9844 4.4002 2.4338
Li 2.6181 4.4002 7.2687
Li -2.5125 1.4263 7.2761
Li 0.8760 1.4357 2.4220
Li 0.8622 -1.4279 2.4186
Li -2.4986 -1.4202 7.2775
Li 1.7424 -0.0004 4.8505
Li -1.6243 -0.0048 9.6979
Li 3.4299 -0.0016 2.4267
Li 0.0546 -0.0105 7.2890
Li 2.6098 1.4308 7.2667
Li 5.9927 1.4308 2.4358
Li 5.9886 -1.4234 2.4159
Li 2.6140 -1.4234 7.2866
Li 8.5479 -0.0105 2.4135
Li 10.2269 -0.0048 0.0046
Li 5.1727 -0.0016 7.2758
Li 6.8602 -0.0004 4.8520
Li 7.7265 1.4357 7.2805
Li 11.1150 1.4263 2.4264
Li 11.1012 -1.4202 2.4250
Li 7.7403 -1.4279 7.2839
Ti -1.6234 2.9420 9.7008
Ti 1.7408 2.9331 4.8492
Ti 4.3013 1.4806 4.8512
Ti 10.2259 2.9420 0.0017
Ti 6.8617 2.9331 4.8533
Ti 7.6759 1.4488 0.0000
Ti -1.6402 -2.9107 9.6738
Ti 1.7421 -2.9313 4.8493
Ti 4.3013 -1.4770 4.8512
Ti 6.8604 -2.9313 4.8532
Ti 10.2427 -2.9107 0.0287
Cr 7.6759 -1.5072 0.0000
O 4.2003 1.5727 1.0995
O 0.8352 1.5707 5.9481
O -3.4864 0.0038 8.5821
O -0.0963 0.0009 3.7310
O 2.6521 1.5731 3.7547
O -0.7223 1.5730 8.6073
O 3.3924 2.8384 5.9466
O 1.8300 -0.0014 1.1189
O -1.5382 0.0003 5.9699
O 6.7672 2.8264 1.0985
O 5.2101 2.8385 3.7559
O 1.8353 2.8264 8.6040
O 9.3248 1.5730 1.0952
O 5.9504 1.5731 5.9478
O 5.0240 0.0014 3.7316
O 7.7673 1.5707 3.7544
O 4.4022 1.5727 8.6030
O 1.6482 -0.0265 8.6030
O 0.8324 -1.5708 5.9438
O 4.2080 -1.5718 1.0962
O 3.5786 0.0014 5.9709
O 6.9544 -0.0265 1.0994
O -0.7380 -1.5698 8.6064
O 2.6530 -1.5716 3.7567
O 6.8010 -2.8051 1.0819
O 3.3907 -2.8365 5.9495
O 1.8015 -2.8051 8.6206
O 10.1407 0.0003 3.7326
O 6.7726 -0.0014 8.5836
O 5.2118 -2.8365 3.7530
O 5.9496 -1.5716 5.9457
O 9.3405 -1.5698 1.0961
O 8.6988 0.0009 5.9715
O 12.0890 0.0038 1.1204
O 4.3945 -1.5718 8.6062
O 7.7701 -1.5708 3.7587
CELL_PARAMETERS angstrom
7.6759 -4.4097 0.0000
7.6759 4.4097 0.0000
-6.7492 0.0000 9.7025
```

---

Record 2
Here is an optimized crystal structure of Li2TiCrO4 from Materials Project. Energies are from GGA+U. Values from VASP.

Quantum ESPRESSO input file:
```
&SYSTEM
  ibrav = 0, nat = 32, ntyp = 4
/
ATOMIC_SPECIES
Li 6.94 Li.upf
Ti 47.87 Ti.upf
Cr 52.00 Cr.upf
O 16.00 O.upf
ATOMIC_POSITIONS angstrom
Li 0.9953 0.0000 1.1414
Li 2.9853 2.0707 5.4620
Li 3.0713 0.0436 3.3089
Li 5.1835 2.0707 3.2499
Li 5.0976 0.0436 5.4030
Li 3.0983 -2.0898 1.1533
Li 5.0706 -2.0898 7.5586
Li 7.1735 0.0000 7.5705
Ti 0.8962 -0.0330 5.3881
Ti 3.0041 0.0674 7.6562
Ti 5.1647 0.0674 1.0557
Ti 7.2727 -0.0330 3.3238
Cr 3.0655 2.1139 1.1220
Cr 5.1033 2.1139 7.5899
Cr 3.0225 -2.0466 5.4338
Cr 5.1463 -2.0466 3.2781
O 2.9788 2.2467 3.4194
O 0.9321 0.1235 3.3212
O 0.9490 0.0049 7.4513
O 3.0257 1.9764 7.5015
O 5.1900 2.2467 5.2925
O 3.1070 0.0168 0.9836
O 2.9607 -0.0377 5.5077
O 5.1431 1.9764 1.2104
O 2.9912 -1.9640 7.4727
O 5.0619 0.0168 7.7283
O 5.2081 -0.0377 3.2041
O 3.1274 -2.1584 3.3838
O 5.1777 -1.9640 1.2392
O 7.2198 0.0049 1.2606
O 7.2367 0.1235 5.3907
O 5.0415 -2.1584 5.3281
CELL_PARAMETERS angstrom
4.1863 -4.1899 0.0000
4.1863 4.1899 0.0000
-0.2037 0.0000 8.7119
```

---

Record 3
Here is an optimized crystal structure of Li24Ti7Cr5O36 from Materials Project. Energies are from GGA+U. Values from VASP.

Quantum ESPRESSO input file:
```
&SYSTEM
  ibrav = 0, nat = 72, ntyp = 4
/
ATOMIC_SPECIES
Li 6.94 Li.upf
Ti 47.87 Ti.upf
Cr 52.00 Cr.upf
O 16.00 O.upf
ATOMIC_POSITIONS angstrom
Li 0.0000 0.0000 0.0000
Li -1.6517 3.9317 6.5094
Li -0.8717 1.7570 4.7096
Li -2.5271 5.6890 11.2352
Li -0.0151 7.1679 1.0830
Li -0.8116 1.3437 7.5911
Li -0.7601 0.9246 10.4628
Li 0.0770 6.7527 3.9450
Li 0.0298 -1.2588 8.6654
Li 0.8605 4.5704 2.1465
Li 0.0095 6.3089 6.8995
Li 1.6685 2.3963 0.3833
Li 1.6724 1.9628 3.2531
Li 0.0643 5.8891 9.7568
Li 0.0942 5.4813 12.6313
Li 1.7630 1.5590 6.1351
Li 0.8994 3.3045 10.8498
Li 1.7275 9.1290 4.3397
Li 1.6747 1.1179 9.0451
Li 2.5421 6.9524 2.5533
Li 2.5665 6.5392 5.4186
Li 1.7587 0.7117 11.9301
Li 2.6075 6.1192 8.2823
Li 4.2832 2.1720 1.7727
Ti -1.6528 3.5354 9.4447
Ti -0.8084 8.8925 5.7752
Ti 0.8398 4.1140 5.0612
Ti -0.7842 8.0791 11.5759
Ti 2.5441 -0.2001 1.4363
Ti 3.3908 4.3701 3.5724
Ti 2.5929 -1.4547 10.1131
Cr -0.8136 9.3408 2.9056
Cr -1.6273 3.0918 12.3492
Cr 0.9078 3.7201 7.9511
Cr 2.5427 -1.0492 7.2363
Cr 3.3888 4.7819 0.6558
O -1.7616 -0.1753 8.8333
O -2.3505 2.2239 10.7183
O -1.7351 7.6322 6.9748
O -0.0145 3.7081 0.4059
O -1.5881 -0.5812 11.6308
O -0.7575 5.2508 5.1089
O -1.6920 7.1919 10.0563
O -0.0306 3.2540 3.5378
O 0.9200 0.8821 1.6950
O -0.7209 4.7948 8.2163
O 0.1277 2.8432 6.3324
O -1.5059 6.7795 12.8717
O 0.7382 0.4459 4.4671
O -0.9211 4.3785 11.0443
O 0.7659 8.2639 2.6315
O -0.0037 2.4412 9.1287
O 1.7245 5.8697 0.7344
O 0.9697 0.0344 7.2964
O 0.8239 7.8274 5.7132
O 0.0351 2.0064 12.2740
O 0.9446 -0.3756 10.3899
O 1.7785 5.4536 3.8768
O 1.0081 7.4379 8.4868
O 2.6730 3.5003 1.9655
O 3.2648 1.0895 0.1459
O 1.6061 4.9949 6.7110
O 2.5014 3.0530 4.7763
O 0.8428 6.9899 11.2978
O 1.8045 4.6217 9.4880
O 3.4812 0.6560 2.9554
O 2.4701 2.6391 7.8924
O 3.3495 8.4617 1.3854
O 1.7735 4.1681 12.5932
O 3.4551 0.2362 6.0542
O 3.5265 8.0436 4.1772
O 4.1242 5.6394 2.2769
CELL_PARAMETERS angstrom
5.0726 0.0000 0.0000
-0.8272 9.7648 0.0000
-2.4863 -1.8949 13.0425
```

---

Record 4
Here is an optimized crystal structure of Li4TiCrO6 from Materials Project. Energies are from GGA+U. Values from VASP.

Quantum ESPRESSO input file:
```
&SYSTEM
  ibrav = 0, nat = 12, ntyp = 4
/
ATOMIC_SPECIES
Li 6.94 Li.upf
Ti 47.87 Ti.upf
Cr 52.00 Cr.upf
O 16.00 O.upf
ATOMIC_POSITIONS angstrom
Li 0.0000 0.0000 0.0000
Li 2.5284 1.4581 0.0000
Li 2.5284 -1.5549 0.0000
Li 1.6863 -2.9745 2.4167
Ti 1.6863 -0.0219 2.4167
Cr 1.6863 2.8957 2.4167
O 0.9670 1.4254 1.2935
O 0.0754 -0.1396 3.5188
O 0.7685 -1.4163 1.3347
O 2.4057 1.4254 3.5399
O 3.2973 -0.1396 1.3146
O 2.6042 -1.4163 3.4988
CELL_PARAMETERS angstrom
2.5284 -4.3937 0.0000
2.5284 4.3937 0.0000
-1.6841 0.0000 4.8334
```

---

Record 5
Here is an optimized crystal structure of Li24Ti7Cr5O36 from Materials Project. Energies are from GGA+U. Values from VASP.

Quantum ESPRESSO input file:
```
&SYSTEM
  ibrav = 0, nat = 72, ntyp = 4
/
ATOMIC_SPECIES
Li 6.94 Li.upf
Ti 47.87 Ti.upf
Cr 52.00 Cr.upf
O 16.00 O.upf
ATOMIC_POSITIONS angstrom
Li 0.0000 0.0000 0.0000
Li -1.6290 3.9568 6.5403
Li -2.4967 5.7020 11.2598
Li -0.8259 1.7711 4.7234
Li -0.8452 1.3543 7.6409
Li 0.0391 7.1751 1.0774
Li 0.1153 6.7581 3.9435
Li -0.7191 0.9607 10.5018
Li 0.8658 4.5756 2.1570
Li 0.0343 -1.2370 8.6952
Li 1.6457 2.4142 0.3682
Li 0.0440 6.3384 6.8974
Li 1.6631 1.9884 3.2747
Li 0.0604 5.9314 9.7931
Li 0.1452 5.5168 12.6898
Li 1.7866 1.5713 6.1142
Li 2.5389 -0.6169 4.3522
Li 0.9200 3.3255 10.8828
Li 1.7034 1.1347 9.0694
Li 2.5595 6.9730 2.5633
Li 2.5361 6.5440 5.4619
Li 1.7629 0.7181 11.9893
Li 4.2972 2.1750 1.7712
Li 2.6788 6.1430 8.3141
Ti 0.0451 -0.8244 5.7823
Ti 0.0654 -1.6660 11.6187
Ti 1.7446 9.5376 1.4334
Ti 0.9512 3.8048 7.9754
Ti 3.3877 4.7744 0.7084
Ti 3.4104 4.3359 3.6074
Ti 2.6093 -1.4130 10.1443
Cr -0.0134 -0.4069 2.9075
Cr -1.5750 3.5396 9.4510
Cr -1.6282 3.1074 12.3101
Cr 0.8595 4.1614 5.0877
Cr 2.5423 -1.0394 7.2562
O -2.3394 2.2640 10.7780
O -1.7381 -0.1551 8.8694
O -1.6855 7.6621 6.9891
O -0.0490 3.6874 0.4413
O -1.5802 -0.5602 11.6664
O -0.6882 5.2478 5.1422
O -0.0278 3.2730 3.5488
O -1.6446 7.2160 10.0935
O 0.9001 0.8683 1.7233
O -0.6972 4.8455 8.2361
O -0.8806 4.3947 10.9845
O -1.4604 6.8089 12.9135
O 0.1907 2.8858 6.3297
O 0.7570 0.4661 4.5139
O -0.0345 2.4509 9.1647
O 0.8290 8.2799 2.6433
O 1.7629 5.8734 0.7309
O 0.9799 0.0588 7.3142
O 0.0008 2.0415 12.2633
O 0.8530 7.8389 5.7244
O 1.7828 5.4394 3.9018
O 0.9533 -0.3540 10.4230
O 1.0532 7.4642 8.4999
O 2.6800 3.4767 2.0030
O 3.2528 1.0937 0.1436
O 1.6522 5.0455 6.6951
O 0.8762 7.0113 11.3294
O 2.4999 3.0856 4.8244
O 1.8354 4.6241 9.5014
O 3.4858 0.6725 2.9643
O 3.3613 8.4664 1.3685
O 2.5463 2.6560 7.9531
O 3.4502 0.2477 6.0789
O 1.8685 4.2054 12.5905
O 4.1177 5.6640 2.3170
O 3.5663 8.0772 4.1503
CELL_PARAMETERS angstrom
5.0581 0.0000 0.0000
-0.7892 9.7671 0.0000
-2.4710 -1.8776 13.0869
```

---

Record 6
Here is an optimized crystal structure of Li4Ti3V4Cr2O18 from Materials Project. Energies are from GGA+U. Values from VASP.

Quantum ESPRESSO input file:
```
&SYSTEM
  ibrav = 0, nat = 62, ntyp = 5
/
ATOMIC_SPECIES
Li 6.94 Li.upf
Ti 47.87 Ti.upf
V 50.94 V.upf
Cr 52.00 Cr.upf
O 16.00 O.upf
ATOMIC_POSITIONS angstrom
Li 0.0000 0.4830 0.0000
Li 0.0000 0.7277 5.6309
Li 0.0000 3.9046 20.8505
Li 0.0000 4.0267 0.4702
Li 0.0000 5.0539 13.2646
Li 0.0000 5.1761 8.0562
Li 0.0000 8.3530 18.4252
Li 0.0000 8.5976 12.7943
Ti 0.0000 2.1393 23.1716
Ti 0.0000 2.3067 2.9727
Ti 0.0000 6.7739 15.7670
Ti 0.0000 6.9414 10.3773
Ti 1.4761 3.6841 5.3149
Ti 1.4761 5.3966 18.1092
V 0.0000 2.0633 8.1847
V 0.0000 2.2997 18.0635
V 0.0000 6.7810 5.2692
V 0.0000 7.0173 20.9790
V 1.4761 0.9335 15.3017
V 1.4761 3.6317 10.8668
V 1.4761 5.4489 23.6611
V 1.4761 8.1471 2.5074
Cr 0.0000 2.2753 13.0854
Cr 0.0000 6.8054 0.2910
Cr 1.4761 0.9005 20.8866
Cr 1.4761 8.1801 8.0923
O 0.0000 0.4271 2.4522
O 0.0000 0.5017 22.1789
O 0.0000 1.3290 19.6372
O 0.0000 2.1803 15.0833
O 0.0000 2.3718 11.0994
O 0.0000 3.2322 6.5435
O 0.0000 3.9906 4.0481
O 0.0000 4.1136 23.7034
O 0.0000 4.9671 10.9090
O 0.0000 5.0901 16.8424
O 0.0000 5.8484 19.3378
O 0.0000 6.7088 23.8937
O 0.0000 6.9003 2.2890
O 0.0000 7.7516 6.8429
O 0.0000 8.5789 9.3846
O 0.0000 8.6536 15.2465
O 1.4761 0.9072 13.2686
O 1.4761 0.9794 7.3939
O 1.4761 1.2990 17.1837
O 1.4761 1.7059 24.3215
O 1.4761 1.8615 4.3791
O 1.4761 2.7196 21.8065
O 1.4761 2.8157 1.8656
O 1.4761 3.1699 8.9902
O 1.4761 3.5629 18.6200
O 1.4761 3.6478 12.8911
O 1.4761 5.4329 0.0968
O 1.4761 5.5178 5.8257
O 1.4761 5.9108 21.7845
O 1.4761 6.2650 14.6599
O 1.4761 6.3611 9.0122
O 1.4761 7.2192 17.1734
O 1.4761 7.3747 11.5272
O 1.4761 7.7817 4.3894
O 1.4761 8.1013 20.1882
O 1.4761 8.1734 0.4743
CELL_PARAMETERS angstrom
2.9521 0.0000 0.0000
0.0000 9.0807 0.0000
0.0000 0.0000 25.5886
```

---

Record 7
Here is an optimized crystal structure of Li4Ti4V4CrO18 from Materials Project. Energies are from GGA+U. Values from VASP.

Quantum ESPRESSO input file:
```
&SYSTEM
  ibrav = 0, nat = 62, ntyp = 5
/
ATOMIC_SPECIES
Li 6.94 Li.upf
Ti 47.87 Ti.upf
V 50.94 V.upf
Cr 52.00 Cr.upf
O 16.00 O.upf
ATOMIC_POSITIONS angstrom
Li 1.7994 0.2260 0.0000
Li 1.8372 20.2749 0.0000
Li 2.7331 7.7166 0.0000
Li 2.7709 12.7843 0.0000
Li 6.3698 12.3323 0.0000
Li 6.4075 17.4000 0.0000
Li 7.3035 4.8417 0.0000
Li 7.3412 24.8906 0.0000
Ti 0.0225 2.5460 0.0000
Ti 1.3446 4.8922 1.4862
Ti 3.2257 17.4505 1.4862
Ti 4.5478 15.1043 0.0000
Ti 4.5928 10.0123 0.0000
Ti 5.9150 7.6661 1.4862
Ti 7.7960 20.2244 1.4862
Ti 9.1182 22.5706 0.0000
V 0.1040 17.2693 0.0000
V 1.3504 10.4031 1.4862
V 3.2199 22.9614 1.4862
V 4.4663 4.7110 0.0000
V 4.6743 20.4056 0.0000
V 5.9207 2.1552 1.4862
V 7.7903 14.7135 1.4862
V 9.0367 7.8473 0.0000
Cr 0.0000 12.5583 0.0000
Cr 4.5703 0.0000 0.0000
O 0.0798 10.5128 0.0000
O 0.4338 21.1384 1.4862
O 0.5461 1.4586 1.4862
O 0.9217 6.1103 0.0000
O 1.1547 8.4245 1.4862
O 1.3190 17.8542 1.4862
O 1.3630 12.4233 1.4862
O 1.6833 3.6263 0.0000
O 1.8457 23.0363 0.0000
O 2.7246 10.4780 0.0000
O 2.8870 16.1846 0.0000
O 3.2073 24.9817 1.4862
O 3.2513 5.2959 1.4862
O 3.4156 20.9828 1.4862
O 3.6487 18.6686 0.0000
O 4.0243 14.0169 1.4862
O 4.1366 8.5801 1.4862
O 4.4905 23.0711 0.0000
O 4.6502 2.0455 0.0000
O 5.0041 16.5365 1.4862
O 5.1164 11.0997 1.4862
O 5.4920 6.4480 0.0000
O 5.7250 4.1338 1.4862
O 5.8894 19.8207 1.4862
O 5.9334 0.1350 1.4862
O 6.2536 8.9320 0.0000
O 6.4160 14.6386 0.0000
O 7.2950 2.0803 0.0000
O 7.4574 21.4903 0.0000
O 7.7776 12.6933 1.4862
O 7.8217 7.2624 1.4862
O 7.9860 16.6921 1.4862
O 8.2190 19.0063 0.0000
O 8.5946 23.6580 1.4862
O 8.7069 3.9782 1.4862
O 9.0608 14.6038 0.0000
CELL_PARAMETERS angstrom
9.1407 0.0000 0.0000
0.0000 25.1166 0.0000
0.0000 0.0000 2.9723
```

---

Energy across the listed records, respectively: -6.998 -7.211 -6.733 -6.660 -6.732 -7.618 -7.739 eV/atom.
ΔE_f across the listed records, respectively: -2918.4 -2659.9 -2667.1 -2597.6 -2666.4 -2687.2 -2799.7 meV per atom.